(1)
A relaxed Cr3Te4 crystal. Source: the Materials Project, functional GGA-PBE. Values from VASP.

Cell and atoms, written as Quantum ESPRESSO input:
```
&SYSTEM
  ibrav = 0, nat = 14, ntyp = 2
/
ATOMIC_SPECIES
Cr 52.00 Cr.upf
Te 127.60 Te.upf
CELL_PARAMETERS angstrom
14.0446 0.0000 0.0000
0.0000 4.0143 0.0000
-3.3032 0.0000 6.1530
ATOMIC_POSITIONS crystal
Cr 0.0000 0.0000 0.0000
Cr 0.2393 0.5000 0.7202
Cr 0.2607 0.0000 0.2798
Cr 0.5000 0.5000 0.0000
Cr 0.7393 0.0000 0.7202
Cr 0.7607 0.5000 0.2798
Te 0.1206 0.0000 0.4505
Te 0.1339 0.5000 0.9753
Te 0.3661 0.0000 0.0247
Te 0.3794 0.5000 0.5495
Te 0.6206 0.5000 0.4505
Te 0.6339 0.0000 0.9753
Te 0.8661 0.5000 0.0247
Te 0.8794 0.0000 0.5495
```

DFT formation energy ... -429 meV/atom
Raw total energy ... -6.12 eV/atom
Space-group type ... No. 12



(2)
A relaxed MgCu4Sn crystal. Source: the Materials Project, functional GGA-PBE. Values from VASP.

Cell and atoms, written as Quantum ESPRESSO input:
```
&SYSTEM
  ibrav = 0, nat = 6, ntyp = 3
/
ATOMIC_SPECIES
Mg 24.30 Mg.upf
Cu 63.55 Cu.upf
Sn 118.71 Sn.upf
CELL_PARAMETERS angstrom
0.0000 3.5312 3.5312
3.5312 0.0000 3.5312
3.5312 3.5312 0.0000
ATOMIC_POSITIONS crystal
Mg 0.0000 0.0000 0.0000
Cu 0.3745 0.3745 0.3745
Cu 0.3745 0.3745 0.8764
Cu 0.3745 0.8764 0.3745
Cu 0.8764 0.3745 0.3745
Sn 0.7500 0.7500 0.7500
```

DFT formation energy ... -127 meV/atom
Raw total energy ... -3.79 eV/atom
Space-group type ... No. 216



(3)
A relaxed BaGaGe crystal. Source: the Materials Project, functional GGA-PBE. Values from VASP.

Cell and atoms, written as Quantum ESPRESSO input:
```
&SYSTEM
  ibrav = 0, nat = 3, ntyp = 3
/
ATOMIC_SPECIES
Ba 137.33 Ba.upf
Ga 69.72 Ga.upf
Ge 72.64 Ge.upf
CELL_PARAMETERS angstrom
4.4069 0.0000 0.0000
-2.2035 3.8165 0.0000
0.0000 0.0000 5.1044
ATOMIC_POSITIONS crystal
Ba 0.0000 0.0000 0.0000
Ga 0.3333 0.6667 0.5000
Ge 0.6667 0.3333 0.5000
```

DFT formation energy ... -542 meV/atom
Raw total energy ... -3.73 eV/atom
Space-group type ... No. 187



(4)
A relaxed K2P4PbO12 crystal. Source: the Materials Project, functional GGA-PBE. Values from VASP.

Cell and atoms, written as Quantum ESPRESSO input:
```
&SYSTEM
  ibrav = 0, nat = 152, ntyp = 4
/
ATOMIC_SPECIES
K 39.10 K.upf
P 30.97 P.upf
Pb 207.20 Pb.upf
O 16.00 O.upf
CELL_PARAMETERS angstrom
9.3345 0.0000 0.0000
0.0000 15.6832 0.0000
0.0000 0.0000 15.6560
ATOMIC_POSITIONS crystal
K 0.1343 0.1056 0.1001
K 0.1343 0.3944 0.6001
K 0.1937 0.7395 0.8052
K 0.1937 0.7605 0.3052
K 0.3063 0.2395 0.8052
K 0.3063 0.2605 0.3052
K 0.3657 0.6056 0.1001
K 0.3657 0.8944 0.6001
K 0.6343 0.1056 0.3999
K 0.6343 0.3944 0.8999
K 0.6937 0.7395 0.6948
K 0.6937 0.7605 0.1948
K 0.8063 0.2395 0.6948
K 0.8063 0.2605 0.1948
K 0.8657 0.6056 0.3999
K 0.8657 0.8944 0.8999
P 0.0015 0.0980 0.8300
P 0.0015 0.4020 0.3300
P 0.0290 0.1128 0.3378
P 0.0290 0.3872 0.8378
P 0.0554 0.7413 0.5524
P 0.0554 0.7587 0.0524
P 0.2504 0.0039 0.9009
P 0.2504 0.4961 0.4009
P 0.2496 0.5039 0.9009
P 0.2496 0.9961 0.4009
P 0.4446 0.2414 0.5524
P 0.4446 0.2586 0.0524
P 0.4710 0.6128 0.3378
P 0.4710 0.8872 0.8378
P 0.4985 0.5980 0.8300
P 0.4985 0.9020 0.3300
P 0.5015 0.0980 0.6700
P 0.5015 0.4020 0.1700
P 0.5290 0.1128 0.1622
P 0.5290 0.3872 0.6622
P 0.5554 0.7413 0.9476
P 0.5554 0.7587 0.4476
P 0.7504 0.0039 0.5991
P 0.7504 0.4961 0.0991
P 0.7496 0.5039 0.5991
P 0.7496 0.9961 0.0991
P 0.9446 0.2414 0.9476
P 0.9446 0.2586 0.4476
P 0.9710 0.6128 0.1622
P 0.9710 0.8872 0.6622
P 0.9985 0.5980 0.6700
P 0.9985 0.9020 0.1700
Pb 0.1213 0.1061 0.6011
Pb 0.1213 0.3939 0.1011
Pb 0.3787 0.6061 0.6011
Pb 0.3787 0.8939 0.1011
Pb 0.6213 0.1061 0.8989
Pb 0.6213 0.3939 0.3989
Pb 0.8787 0.6061 0.8989
Pb 0.8787 0.8939 0.3989
O 0.0140 0.1567 0.2538
O 0.0140 0.3433 0.7538
O 0.0302 0.1561 0.9145
O 0.0302 0.3439 0.4145
O 0.0440 0.7403 0.4571
O 0.0440 0.7597 0.9571
O 0.0533 0.1838 0.4141
O 0.0533 0.3162 0.9141
O 0.0647 0.1435 0.7540
O 0.0647 0.3565 0.2540
O 0.0809 0.5491 0.1315
O 0.0809 0.9509 0.6315
O 0.0952 0.0149 0.8542
O 0.0952 0.4851 0.3542
O 0.1513 0.5682 0.6745
O 0.1513 0.9318 0.1745
O 0.1622 0.5840 0.8929
O 0.1622 0.9160 0.3929
O 0.1888 0.0716 0.3393
O 0.1888 0.4284 0.8393
O 0.1960 0.7478 0.5995
O 0.1960 0.7522 0.0995
O 0.2206 0.5321 0.4882
O 0.2206 0.9679 0.9882
O 0.2794 0.0321 0.4882
O 0.2794 0.4679 0.9882
O 0.3040 0.2478 0.5995
O 0.3040 0.2522 0.0995
O 0.3112 0.5716 0.3393
O 0.3112 0.9284 0.8393
O 0.3378 0.0840 0.8929
O 0.3378 0.4160 0.3929
O 0.3487 0.0682 0.6745
O 0.3487 0.4318 0.1745
O 0.4048 0.5149 0.8542
O 0.4048 0.9851 0.3542
O 0.4191 0.0491 0.1315
O 0.4191 0.4509 0.6315
O 0.4353 0.6435 0.7540
O 0.4353 0.8565 0.2540
O 0.4467 0.6838 0.4141
O 0.4467 0.8162 0.9141
O 0.4560 0.2403 0.4571
O 0.4560 0.2597 0.9571
O 0.4698 0.6561 0.9145
O 0.4698 0.8439 0.4145
O 0.4860 0.6567 0.2538
O 0.4860 0.8433 0.7538
O 0.5140 0.1567 0.2462
O 0.5140 0.3433 0.7462
O 0.5302 0.1561 0.5855
O 0.5302 0.3439 0.0855
O 0.5440 0.7403 0.0429
O 0.5440 0.7597 0.5429
O 0.5533 0.1838 0.0859
O 0.5533 0.3162 0.5859
O 0.5647 0.1435 0.7460
O 0.5647 0.3565 0.2460
O 0.5809 0.5491 0.3685
O 0.5809 0.9509 0.8685
O 0.5952 0.0149 0.6458
O 0.5952 0.4851 0.1458
O 0.6513 0.5682 0.8255
O 0.6513 0.9318 0.3255
O 0.6622 0.5840 0.6071
O 0.6622 0.9160 0.1071
O 0.6888 0.0716 0.1607
O 0.6888 0.4284 0.6607
O 0.6960 0.7478 0.9005
O 0.6960 0.7522 0.4005
O 0.7206 0.5321 0.0118
O 0.7206 0.9679 0.5118
O 0.7794 0.0321 0.0118
O 0.7794 0.4679 0.5118
O 0.8040 0.2478 0.9005
O 0.8040 0.2522 0.4005
O 0.8112 0.5716 0.1607
O 0.8112 0.9284 0.6607
O 0.8378 0.0840 0.6071
O 0.8378 0.4160 0.1071
O 0.8487 0.0682 0.8255
O 0.8487 0.4318 0.3255
O 0.9048 0.5149 0.6458
O 0.9048 0.9851 0.1458
O 0.9191 0.0491 0.3685
O 0.9191 0.4509 0.8685
O 0.9353 0.6435 0.7460
O 0.9353 0.8565 0.2460
O 0.9467 0.6838 0.0859
O 0.9467 0.8162 0.5859
O 0.9560 0.2403 0.0429
O 0.9560 0.2597 0.5429
O 0.9698 0.6561 0.5855
O 0.9698 0.8439 0.0855
O 0.9860 0.6567 0.2462
O 0.9860 0.8433 0.7462
```

DFT formation energy ... -2595 meV/atom
Raw total energy ... -6.74 eV/atom
Space-group type ... No. 61



(5)
A relaxed BeAgPO4 crystal. Source: the Materials Project, functional GGA-PBE. Values from VASP.

Cell and atoms, written as Quantum ESPRESSO input:
```
&SYSTEM
  ibrav = 0, nat = 84, ntyp = 4
/
ATOMIC_SPECIES
Be 9.01 Be.upf
Ag 107.87 Ag.upf
P 30.97 P.upf
O 16.00 O.upf
CELL_PARAMETERS angstrom
8.3297 0.0000 0.0000
0.0000 7.9969 0.0000
-8.2794 0.0000 14.6188
ATOMIC_POSITIONS crystal
Be 0.0149 0.1731 0.4186
Be 0.0149 0.3269 0.9186
Be 0.3203 0.1743 0.2420
Be 0.3203 0.3257 0.7420
Be 0.3425 0.6709 0.4088
Be 0.3425 0.8291 0.9088
Be 0.6575 0.1709 0.0912
Be 0.6575 0.3291 0.5912
Be 0.6797 0.6743 0.2580
Be 0.6797 0.8257 0.7580
Be 0.9851 0.6731 0.0814
Be 0.9851 0.8269 0.5814
Ag 0.0018 0.5069 0.2521
Ag 0.0018 0.9931 0.7521
Ag 0.2773 0.0143 0.0645
Ag 0.2773 0.4857 0.5645
Ag 0.3643 0.0195 0.5856
Ag 0.3643 0.4805 0.0856
Ag 0.6357 0.5195 0.9144
Ag 0.6357 0.9805 0.4144
Ag 0.7227 0.5143 0.4355
Ag 0.7227 0.9857 0.9355
Ag 0.9982 0.0069 0.2479
Ag 0.9982 0.4931 0.7479
P 0.0222 0.7035 0.9176
P 0.0222 0.7965 0.4176
P 0.3202 0.7078 0.7381
P 0.3202 0.7922 0.2381
P 0.3405 0.2054 0.9105
P 0.3405 0.2946 0.4105
P 0.6595 0.7054 0.5895
P 0.6595 0.7946 0.0895
P 0.6798 0.2078 0.7619
P 0.6798 0.2922 0.2619
P 0.9778 0.2035 0.5824
P 0.9778 0.2965 0.0824
O 0.0616 0.2464 0.5201
O 0.0616 0.2536 0.0201
O 0.0921 0.5204 0.9332
O 0.0921 0.9796 0.4332
O 0.1237 0.2266 0.6844
O 0.1237 0.2734 0.1844
O 0.1330 0.2194 0.8821
O 0.1330 0.2806 0.3821
O 0.1886 0.6785 0.4428
O 0.1886 0.8215 0.9428
O 0.2055 0.6784 0.1541
O 0.2055 0.8216 0.6541
O 0.2595 0.7320 0.8112
O 0.2595 0.7680 0.3112
O 0.2797 0.5221 0.7054
O 0.2797 0.9779 0.2054
O 0.3821 0.0242 0.8936
O 0.3821 0.4758 0.3936
O 0.3845 0.1751 0.3508
O 0.3845 0.3249 0.8508
O 0.4617 0.2459 0.5129
O 0.4617 0.2541 0.0129
O 0.4720 0.2454 0.7190
O 0.4720 0.2546 0.2190
O 0.5280 0.7454 0.7810
O 0.5280 0.7546 0.2810
O 0.5383 0.7459 0.9871
O 0.5383 0.7541 0.4871
O 0.6155 0.6751 0.1492
O 0.6155 0.8249 0.6492
O 0.6179 0.5242 0.6064
O 0.6179 0.9758 0.1064
O 0.7203 0.0221 0.7946
O 0.7203 0.4779 0.2946
O 0.7405 0.2320 0.6888
O 0.7405 0.2680 0.1888
O 0.7945 0.1784 0.3459
O 0.7945 0.3216 0.8459
O 0.8114 0.1785 0.0572
O 0.8114 0.3215 0.5572
O 0.8670 0.7194 0.6179
O 0.8670 0.7806 0.1179
O 0.8763 0.7266 0.8156
O 0.8763 0.7734 0.3156
O 0.9079 0.0204 0.5668
O 0.9079 0.4796 0.0668
O 0.9384 0.7464 0.9799
O 0.9384 0.7536 0.4799
```

DFT formation energy ... -2379 meV/atom
Raw total energy ... -6.53 eV/atom
Space-group type ... No. 14



(6)
A relaxed Eu2Zn3Ge crystal. Source: the Materials Project, functional GGA-PBE. Values from VASP.

Cell and atoms, written as Quantum ESPRESSO input:
```
&SYSTEM
  ibrav = 0, nat = 12, ntyp = 3
/
ATOMIC_SPECIES
Eu 151.96 Eu.upf
Zn 65.41 Zn.upf
Ge 72.64 Ge.upf
CELL_PARAMETERS angstrom
0.0000 4.5739 7.8814
3.7999 0.0000 7.8814
3.7999 4.5739 0.0000
ATOMIC_POSITIONS crystal
Eu 0.2415 0.7585 0.7585
Eu 0.2500 0.2500 0.2500
Eu 0.7500 0.7500 0.7500
Eu 0.7585 0.2415 0.2415
Zn 0.1674 0.1674 0.8326
Zn 0.1696 0.6640 0.3360
Zn 0.3360 0.8304 0.1696
Zn 0.6640 0.1696 0.8304
Zn 0.8304 0.3360 0.6640
Zn 0.8326 0.8326 0.1674
Ge 0.3356 0.3356 0.6644
Ge 0.6644 0.6644 0.3356
```

ΔE to the lowest computed polymorph ... 0.04 eV/f.u.
DFT formation energy ... -428 meV/atom
Raw total energy ... -5.25 eV/atom
Space-group type ... No. 69



(7)
A relaxed EuMgB5O10 crystal. Source: the Materials Project, functional GGA-PBE. Values from VASP.

Cell and atoms, written as Quantum ESPRESSO input:
```
&SYSTEM
  ibrav = 0, nat = 68, ntyp = 4
/
ATOMIC_SPECIES
Eu 151.96 Eu.upf
Mg 24.30 Mg.upf
B 10.81 B.upf
O 16.00 O.upf
CELL_PARAMETERS angstrom
8.7847 0.0000 0.0000
0.0000 7.6787 0.0000
-8.3782 0.0000 9.5079
ATOMIC_POSITIONS crystal
Eu 0.0478 0.1861 0.2380
Eu 0.0478 0.3139 0.7380
Eu 0.9522 0.6861 0.2620
Eu 0.9522 0.8139 0.7620
Mg 0.4776 0.5903 0.8742
Mg 0.4776 0.9097 0.3742
Mg 0.5224 0.0903 0.6258
Mg 0.5224 0.4097 0.1258
B 0.0911 0.6741 0.6049
B 0.0911 0.8259 0.1049
B 0.1573 0.5986 0.0007
B 0.1573 0.9014 0.5007
B 0.2749 0.0322 0.0551
B 0.2749 0.4678 0.5551
B 0.3475 0.5774 0.2603
B 0.3475 0.9226 0.7603
B 0.4806 0.1856 0.9124
B 0.4806 0.3144 0.4124
B 0.5194 0.6856 0.5876
B 0.5194 0.8144 0.0876
B 0.6525 0.0774 0.2397
B 0.6525 0.4226 0.7397
B 0.7251 0.5322 0.4449
B 0.7251 0.9678 0.9449
B 0.8427 0.0986 0.4993
B 0.8427 0.4014 0.9993
B 0.9089 0.1741 0.8951
B 0.9089 0.3259 0.3951
O 0.0294 0.7248 0.9839
O 0.0294 0.7752 0.4839
O 0.0888 0.1076 0.9200
O 0.0888 0.3924 0.4200
O 0.1221 0.5476 0.8835
O 0.1221 0.9524 0.3835
O 0.2043 0.7134 0.2322
O 0.2043 0.7866 0.7322
O 0.2352 0.5294 0.6471
O 0.2352 0.9706 0.1471
O 0.3161 0.5324 0.1313
O 0.3161 0.9676 0.6313
O 0.3182 0.0846 0.8068
O 0.3182 0.4154 0.3068
O 0.3246 0.6244 0.5103
O 0.3246 0.8756 0.0103
O 0.4324 0.1533 0.4311
O 0.4324 0.3467 0.9311
O 0.4479 0.1516 0.1335
O 0.4479 0.3484 0.6335
O 0.5521 0.6516 0.3665
O 0.5521 0.8484 0.8665
O 0.5676 0.6533 0.0689
O 0.5676 0.8467 0.5689
O 0.6754 0.1244 0.9897
O 0.6754 0.3756 0.4897
O 0.6818 0.5846 0.6932
O 0.6818 0.9154 0.1932
O 0.6839 0.0324 0.3687
O 0.6839 0.4676 0.8687
O 0.7648 0.0294 0.8529
O 0.7648 0.4706 0.3529
O 0.7957 0.2134 0.2678
O 0.7957 0.2866 0.7678
O 0.8779 0.0476 0.6165
O 0.8779 0.4524 0.1165
O 0.9112 0.6076 0.5800
O 0.9112 0.8924 0.0800
O 0.9706 0.2248 0.5161
O 0.9706 0.2752 0.0161
```

DFT formation energy ... -2981 meV/atom
Raw total energy ... -8.15 eV/atom
Space-group type ... No. 14



(8)
A relaxed MgZr crystal. Source: the Materials Project, functional GGA-PBE. Values from VASP.

Cell and atoms, written as Quantum ESPRESSO input:
```
&SYSTEM
  ibrav = 0, nat = 2, ntyp = 2
/
ATOMIC_SPECIES
Mg 24.30 Mg.upf
Zr 91.22 Zr.upf
CELL_PARAMETERS angstrom
3.1564 0.0000 0.0000
0.0000 3.1564 0.0000
0.0000 0.0000 4.4602
ATOMIC_POSITIONS crystal
Mg 0.0000 0.0000 0.0000
Zr 0.5000 0.5000 0.5000
```

DFT formation energy ... 77 meV/atom
Raw total energy ... -5.00 eV/atom
Space-group type ... No. 123